The following is a DFT calculation (GGA-PBE) of a geometry-optimized Na4TaInSi3O12 structure.

a = 9.214 Å, b = 9.214 Å, c = 22.448 Å
α = 90.00°, β = 90.00°, γ = 120.00°
Fractional positions:
O 0.480 0.366 0.144
O 0.137 0.636 0.360
Na 0.653 0.959 0.580
O 0.177 0.186 0.413
Na 0.333 0.667 0.161
O 0.147 0.658 0.079
Ta 0.333 0.667 0.813
Si 0.626 0.663 0.918
In 0.000 0.000 0.350
O 0.854 0.367 0.922
Si 0.670 0.040 0.084
Na 0.306 0.347 0.580
Ta 0.667 0.333 0.480
Ta 0.667 0.333 0.980
Ta 0.000 0.000 0.147
O 0.301 0.448 0.477
O 0.967 0.781 0.811
In 0.667 0.333 0.683
O 0.299 0.479 0.755
O 0.364 0.863 0.860
O 0.031 0.835 0.693
Na 0.973 0.680 0.914
O 0.886 0.520 0.144
Si 0.960 0.629 0.084
Si 0.337 0.963 0.918
O 0.698 0.530 0.527
Na 0.374 0.014 0.747
O 0.147 0.448 0.977
O 0.187 0.034 0.589
O 0.675 0.156 0.746
Na 0.640 0.014 0.247
In 0.333 0.667 0.516
O 0.804 0.969 0.693
Ta 0.333 0.667 0.313
O 0.521 0.820 0.755
O 0.813 0.781 0.311
O 0.847 0.813 0.589
Si 0.293 0.997 0.251
O 0.180 0.479 0.255
O 0.342 0.489 0.079
O 0.301 0.853 0.977
O 0.814 0.823 0.913
Na 0.653 0.694 0.080
Si 0.626 0.963 0.418
Si 0.371 0.040 0.584
Si 0.337 0.374 0.418
O 0.514 0.367 0.422
Si 0.704 0.707 0.251
O 0.886 0.366 0.644
O 0.814 0.991 0.413
O 0.634 0.114 0.144
O 0.511 0.658 0.579
O 0.147 0.489 0.579
Ta 0.000 0.000 0.647
Si 0.037 0.374 0.918
Na 0.000 0.000 0.495
O 0.187 0.153 0.089
O 0.675 0.519 0.246
Na 0.986 0.626 0.247
Na 0.000 0.000 0.995
O 0.847 0.034 0.089
O 0.480 0.114 0.644
O 0.147 0.699 0.477
O 0.844 0.519 0.746
O 0.165 0.196 0.693
O 0.177 0.991 0.913
Na 0.320 0.027 0.414
O 0.009 0.823 0.413
O 0.219 0.187 0.811
O 0.481 0.325 0.746
O 0.552 0.699 0.977
O 0.633 0.486 0.922
Na 0.986 0.360 0.747
Si 0.670 0.629 0.584
Na 0.306 0.959 0.080
Si 0.003 0.296 0.251
O 0.832 0.530 0.027
Na 0.333 0.667 0.661
Na 0.374 0.360 0.247
O 0.966 0.153 0.589
O 0.137 0.501 0.860
Si 0.371 0.330 0.084
Na 0.707 0.027 0.914
O 0.813 0.033 0.811
O 0.219 0.033 0.311
O 0.009 0.186 0.913
O 0.481 0.156 0.246
O 0.967 0.187 0.311
Na 0.041 0.347 0.080
Na 0.973 0.293 0.414
O 0.511 0.853 0.079
Na 0.667 0.333 0.828
O 0.698 0.168 0.027
O 0.470 0.302 0.027
Na 0.667 0.333 0.328
O 0.966 0.813 0.089
Na 0.320 0.293 0.914
O 0.804 0.835 0.193
In 0.333 0.667 0.016
O 0.633 0.146 0.422
O 0.180 0.701 0.755
O 0.342 0.853 0.579
O 0.514 0.146 0.922
Si 0.293 0.296 0.751
Na 0.041 0.694 0.580
Si 0.704 0.997 0.751
O 0.499 0.636 0.860
O 0.634 0.520 0.644
O 0.165 0.969 0.193
O 0.031 0.196 0.193
Na 0.707 0.680 0.414
O 0.470 0.168 0.527
O 0.552 0.853 0.477
O 0.299 0.820 0.255
Si 0.960 0.330 0.584
O 0.521 0.701 0.255
O 0.364 0.501 0.360
O 0.854 0.486 0.422
O 0.832 0.302 0.527
Na 0.640 0.626 0.747
O 0.499 0.863 0.360
Si 0.037 0.663 0.418
Si 0.003 0.707 0.751
In 0.000 0.000 0.850
In 0.667 0.333 0.183
O 0.844 0.325 0.246

uncorrected energy	-6.96	eV per atom
energy relative to the elements	-2799	meV per atom

The following is a DFT calculation (GGA-PBE) of a geometry-optimized NdGa6Fe6 structure.

a = 6.619 Å, b = 6.619 Å, c = 6.619 Å
α = 135.09°, β = 99.06°, γ = 97.71°
Fractional positions:
Nd 0.000 0.000 0.000
Ga 0.192 0.692 0.500
Ga 0.335 0.000 0.335
Ga 0.346 0.346 0.000
Ga 0.654 0.654 0.000
Ga 0.665 0.000 0.665
Ga 0.808 0.308 0.500
Fe 0.000 0.000 0.500
Fe 0.000 0.500 0.000
Fe 0.243 0.500 0.743
Fe 0.500 0.000 0.000
Fe 0.500 0.500 0.500
Fe 0.757 0.500 0.257

uncorrected energy	-5.96	eV per atom
energy relative to the elements	-288	meV per atom

The following is a DFT calculation (GGA-PBE) of a geometry-optimized Ti2AlCr structure.

a = 3.132 Å, b = 3.132 Å, c = 6.168 Å
α = 90.00°, β = 90.00°, γ = 90.00°
Fractional positions:
Ti 0.000 0.000 0.225
Ti 0.000 0.000 0.775
Al 0.500 0.500 0.500
Cr 0.500 0.500 0.000

uncorrected energy	-7.55	eV per atom
energy relative to the elements	-251	meV per atom

Q: Number 3 is which compound?
A: Ti2AlCr

Q: energy relative to the elements of number 2 (NdGa6Fe6)?
A: -288 meV per atom

Q: The lowest uncorrected energy belongs to which entry?
A: Ti2AlCr

Q: What is the energy relative to the elements in the first record?
A: -2799 meV per atom